A relaxed structure of K2YHfP3O12. Source: the Materials Project database, functional GGA-PBE.

Cell and atoms, written as CIF:
```
data_K2YHfP3O12
_space_group_name_H-M_alt 'P 1'
_space_group_IT_number 1
_space_group_name_Hall 'P 1'
_cell_length_a 10.471
_cell_length_b 10.477
_cell_length_c 20.978
_cell_angle_alpha 90.07
_cell_angle_beta 90.01
_cell_angle_gamma 90.00
loop_
_atom_site_label
_atom_site_fract_x
_atom_site_fract_y
_atom_site_fract_z
K1 0.000 0.000 0.000
K2 0.001 0.020 0.500
K3 0.125 0.382 0.368
K4 0.139 0.382 0.862
K5 0.229 0.776 0.115
K6 0.238 0.787 0.622
K7 0.364 0.152 0.256
K8 0.373 0.148 0.750
K9 0.505 0.655 0.930
K10 0.513 0.647 0.428
K11 0.628 0.279 0.568
K12 0.633 0.284 0.067
K13 0.723 0.889 0.814
K14 0.744 0.881 0.313
K15 0.861 0.501 0.681
K16 0.863 0.512 0.188
Y1 0.015 0.163 0.674
Y2 0.083 0.733 0.290
Y3 0.347 0.999 0.926
Y4 0.513 0.494 0.259
Y5 0.518 0.500 0.758
Y6 0.580 0.930 0.639
Y7 0.783 0.231 0.391
Y8 0.851 0.662 0.008
Hf1 0.022 0.166 0.174
Hf2 0.079 0.723 0.788
Hf3 0.285 0.439 0.538
Hf4 0.290 0.436 0.038
Hf5 0.350 0.993 0.422
Hf6 0.579 0.941 0.143
Hf7 0.790 0.226 0.895
Hf8 0.847 0.668 0.509
P1 0.051 0.036 0.833
P2 0.065 0.053 0.332
P3 0.163 0.708 0.451
P4 0.174 0.698 0.944
P5 0.195 0.453 0.194
P6 0.202 0.456 0.697
P7 0.305 0.121 0.577
P8 0.307 0.121 0.087
P9 0.390 0.819 0.779
P10 0.401 0.824 0.277
P11 0.462 0.310 0.406
P12 0.478 0.320 0.907
P13 0.551 0.627 0.100
P14 0.559 0.611 0.593
P15 0.665 0.953 0.480
P16 0.670 0.959 0.985
P17 0.696 0.202 0.740
P18 0.707 0.206 0.230
P19 0.807 0.551 0.351
P20 0.815 0.538 0.848
P21 0.895 0.838 0.655
P22 0.896 0.856 0.152
P23 0.967 0.359 0.530
P24 0.977 0.339 0.030
O1 0.008 0.893 0.827
O2 0.012 0.916 0.334
O3 0.026 0.737 0.476
O4 0.040 0.727 0.970
O5 0.085 0.097 0.262
O6 0.089 0.090 0.768
O7 0.103 0.336 0.200
O8 0.111 0.344 0.705
O9 0.111 0.360 0.510
O10 0.120 0.349 0.009
O11 0.136 0.562 0.232
O12 0.146 0.570 0.735
O13 0.160 0.651 0.383
O14 0.161 0.050 0.882
O15 0.167 0.663 0.872
O16 0.177 0.100 0.611
O17 0.193 0.109 0.134
O18 0.197 0.058 0.367
O19 0.200 0.493 0.122
O20 0.211 0.499 0.625
O21 0.231 0.580 0.980
O22 0.231 0.614 0.497
O23 0.242 0.834 0.451
O24 0.244 0.814 0.763
O25 0.264 0.830 0.250
O26 0.266 0.810 0.956
O27 0.270 0.066 0.022
O28 0.291 0.070 0.507
O29 0.328 0.417 0.218
O30 0.335 0.421 0.722
O31 0.340 0.266 0.575
O32 0.349 0.263 0.082
O33 0.367 0.378 0.453
O34 0.407 0.376 0.966
O35 0.412 0.051 0.612
O36 0.412 0.903 0.339
O37 0.414 0.913 0.834
O38 0.417 0.042 0.117
O39 0.423 0.188 0.891
O40 0.426 0.166 0.399
O41 0.436 0.552 0.070
O42 0.440 0.686 0.291
O43 0.441 0.686 0.796
O44 0.445 0.373 0.341
O45 0.456 0.869 0.718
O46 0.458 0.414 0.851
O47 0.459 0.519 0.561
O48 0.495 0.889 0.228
O49 0.506 0.748 0.592
O50 0.511 0.771 0.103
O51 0.524 0.926 0.459
O52 0.537 0.927 0.960
O53 0.583 0.576 0.166
O54 0.589 0.565 0.661
O55 0.599 0.320 0.432
O56 0.608 0.316 0.726
O57 0.622 0.313 0.926
O58 0.638 0.334 0.222
O59 0.639 0.085 0.706
O60 0.641 0.109 0.184
O61 0.662 0.997 0.057
O62 0.665 0.610 0.054
O63 0.667 0.010 0.548
O64 0.671 0.564 0.323
O65 0.681 0.600 0.551
O66 0.698 0.172 0.813
O67 0.702 0.153 0.298
O68 0.704 0.554 0.801
O69 0.728 0.075 0.949
O70 0.732 0.042 0.433
O71 0.739 0.824 0.480
O72 0.751 0.860 0.170
O73 0.758 0.837 0.681
O74 0.761 0.846 0.975
O75 0.782 0.593 0.913
O76 0.801 0.591 0.423
O77 0.832 0.231 0.716
O78 0.848 0.224 0.209
O79 0.856 0.395 0.854
O80 0.857 0.413 0.346
O81 0.889 0.291 0.478
O82 0.897 0.643 0.315
O83 0.901 0.278 0.974
O84 0.901 0.754 0.593
O85 0.918 0.783 0.090
O86 0.920 0.469 0.048
O87 0.926 0.500 0.539
O88 0.930 0.612 0.818
O89 0.936 0.112 0.862
O90 0.941 0.973 0.638
O91 0.945 0.995 0.144
O92 0.946 0.288 0.593
O93 0.967 0.246 0.087
O94 0.969 0.790 0.206
O95 0.976 0.147 0.367
O96 0.987 0.775 0.704
```

E_form = -3209 meV per atom
Volume = 287.7 Å³/f.u.
Distance to the lowest polymorph of the same formula = 0 meV/atom
M_tot = 0.00 μB/f.u.

=====

A relaxed structure of KPrHf4O12. Source: the Materials Project database, functional GGA-PBE.

Cell and atoms, written as CIF:
```
data_KPrHf4O12
_space_group_name_H-M_alt 'A m m 2'
_space_group_IT_number 38
_space_group_name_Hall 'A 2 -2'
_cell_length_a 8.280
_cell_length_b 8.188
_cell_length_c 8.177
_cell_angle_alpha 90.00
_cell_angle_beta 90.00
_cell_angle_gamma 90.00
loop_
_atom_site_label
_atom_site_fract_x
_atom_site_fract_y
_atom_site_fract_z
K1 0.000 0.000 0.000
Pr1 0.500 0.000 0.496
Hf1 0.244 0.249 0.748
O1 0.000 0.235 0.243
O2 0.238 0.000 0.772
O3 0.281 0.222 0.498
O4 0.296 0.000 0.254
O5 0.500 0.206 0.732
```

E_form = -3200 meV per atom
Volume = 277.2 Å³/f.u.
M_tot = 4.00 μB/f.u.

=====

A relaxed structure of KPrHfZrO6. Source: the Materials Project database, functional GGA-PBE.

Cell and atoms, written as CIF:
```
data_KPrHfZrO6
_space_group_name_H-M_alt 'F -4 3 m'
_space_group_IT_number 216
_space_group_name_Hall 'F -4 2 3'
_cell_length_a 8.306
_cell_length_b 8.306
_cell_length_c 8.306
_cell_angle_alpha 90.00
_cell_angle_beta 90.00
_cell_angle_gamma 90.00
loop_
_atom_site_label
_atom_site_fract_x
_atom_site_fract_y
_atom_site_fract_z
K1 0.000 0.000 0.000
Pr1 0.000 0.000 0.500
Hf1 0.250 0.250 0.250
Zr1 0.250 0.250 0.750
O1 0.002 0.250 0.250
```

E_form = -3469 meV per atom
Volume = 143.2 Å³/f.u.
M_tot = 0.00 μB/f.u.

=====

A relaxed structure of KSmHf2O6. Source: the Materials Project database, functional GGA-PBE.

Cell and atoms, written as CIF:
```
data_KSmHf2O6
_space_group_name_H-M_alt 'F m -3 m'
_space_group_IT_number 225
_space_group_name_Hall '-F 4 2 3'
_cell_length_a 8.231
_cell_length_b 8.231
_cell_length_c 8.231
_cell_angle_alpha 90.00
_cell_angle_beta 90.00
_cell_angle_gamma 90.00
loop_
_atom_site_label
_atom_site_fract_x
_atom_site_fract_y
_atom_site_fract_z
K1 0.000 0.000 0.000
Sm1 0.000 0.000 0.500
Hf1 0.250 0.250 0.250
O1 0.000 0.250 0.250
```

E_form = -3519 meV per atom
Volume = 139.4 Å³/f.u.
M_tot = 0.00 μB/f.u.

=====

A relaxed structure of La3Hf. Source: the Materials Project database, functional GGA-PBE.

Cell and atoms, written as CIF:
```
data_La3Hf
_space_group_name_H-M_alt 'P 63/m m c'
_space_group_IT_number 194
_space_group_name_Hall '-P 6c 2c'
_cell_length_a 7.1829
_cell_length_b 7.1829
_cell_length_c 5.8477
_cell_angle_alpha 90.00
_cell_angle_beta 90.00
_cell_angle_gamma 120.00
loop_
_atom_site_label
_atom_site_fract_x
_atom_site_fract_y
_atom_site_fract_z
La1 0.1739 0.3478 0.2500
Hf1 0.3333 0.6667 0.7500
```

E_form = 201 meV per atom
Volume = 130.6 Å³/f.u.
Distance to the lowest polymorph of the same formula = 3 meV/atom
M_tot = 0.01 μB/f.u.

=====

A relaxed structure of La3Hf. Source: the Materials Project database, functional GGA-PBE.

Cell and atoms, written as CIF:
```
data_La3Hf
_space_group_name_H-M_alt 'P m -3 m'
_space_group_IT_number 221
_space_group_name_Hall '-P 4 2 3'
_cell_length_a 5.045
_cell_length_b 5.045
_cell_length_c 5.045
_cell_angle_alpha 90.00
_cell_angle_beta 90.00
_cell_angle_gamma 90.00
loop_
_atom_site_label
_atom_site_fract_x
_atom_site_fract_y
_atom_site_fract_z
La1 0.000 0.000 0.500
Hf1 0.500 0.500 0.500
```

E_form = 198 meV per atom
Volume = 128.4 Å³/f.u.
Distance to the lowest polymorph of the same formula = 0 meV/atom
M_tot = 0.00 μB/f.u.